DFT (meta-GGA r2SCAN) results for a geometry-optimized DyB2C structure.

```
DyB2C
1.0
6.7834 0.0000 0.0000
0.0000 6.7834 0.0000
0.0000 0.0000 7.4622
C B Dy
8 16 8
Cartesian
3.6681 4.5959 0.0000
5.5792 6.5070 3.7311
1.2042 0.2764 3.7311
3.1153 2.1875 0.0000
2.1875 3.6681 3.7311
4.5959 3.1153 3.7311
6.5070 1.2042 0.0000
0.2764 5.5792 0.0000
3.6245 4.4185 3.7311
6.1409 2.7307 3.7311
2.7307 0.6425 0.0000
6.5507 1.0268 3.7311
5.7566 6.5507 0.0000
2.3649 3.6245 0.0000
6.1224 2.7492 0.0000
4.0527 6.1409 0.0000
2.7492 0.6610 3.7311
4.0342 6.1224 3.7311
4.4185 3.1590 0.0000
0.6425 4.0527 3.7311
1.0268 0.2327 0.0000
0.6610 4.0342 0.0000
0.2327 5.7566 3.7311
3.1590 2.3649 3.7311
1.2942 2.0975 5.5966
4.6859 1.2942 1.8655
2.0975 5.4892 5.5966
5.4892 4.6859 5.5966
5.4892 4.6859 1.8655
1.2942 2.0975 1.8655
4.6859 1.2942 5.5966
2.0975 5.4892 1.8655
```

Total DFT energy (no corrections) (eV/atom): -14.7818
Energy of formation (kJ per mole of atoms): -60
Symmetry: P4_2/mbc (135)